Ba6Pr2MgRu4O18: optimized geometry, PBE.

a = 6.0583 Å, b = 6.0583 Å, c = 15.2566 Å
α = 87.28°, β = 92.72°, γ = 119.26°
Fractional positions:
1 Ru 0.6518 0.3482 0.8375
2 Ru 0.6664 0.3336 0.6718
3 Ru 0.3336 0.6664 0.3282
4 Ru 0.3482 0.6518 0.1625
5 O 0.1761 0.8239 0.3967
6 O 0.1992 0.3637 0.4141
7 O 0.2018 0.7982 0.0746
8 O 0.8008 0.6363 0.5859
9 O 0.7982 0.2018 0.9254
10 O 0.9704 0.4900 0.7626
11 O 0.0296 0.5100 0.2374
12 O 0.3637 0.1992 0.5859
13 O 0.5056 0.4944 0.7427
14 O 0.6363 0.8008 0.4141
15 O 0.4900 0.9704 0.2374
16 O 0.3354 0.2038 0.9036
17 O 0.5100 0.0296 0.7626
18 O 0.7962 0.6646 0.9036
19 O 0.8239 0.1761 0.6033
20 O 0.4944 0.5056 0.2573
21 O 0.2038 0.3354 0.0964
22 O 0.6646 0.7962 0.0964
23 Mg 0.5000 0.5000 0.5000
24 Ba 0.0224 0.9776 0.2402
25 Ba 0.3266 0.6734 0.9112
26 Ba 0.6734 0.3266 0.0888
27 Ba 0.7035 0.2965 0.3605
28 Ba 0.9776 0.0224 0.7598
29 Ba 0.2965 0.7035 0.6395
30 Pr 0.0000 0.0000 0.0000
31 Pr 0.0000 0.0000 0.5000

The formation energy comes out at -2497 meV/atom. The symmetry is C2/m. The calculation puts the calculated total energy at -213.87 eV for the cell shown. The calculation puts the MP2020-corrected energy at -226.24 eV per formula unit.